{"formula": "Li2SnP2O7", "functional": "PBE", "state": "optimized geometry", "mass_density_g_cm3": 3.27, "sg": "No. 14", "total_energy_ev_per_atom": -6.592, "cell": [[8.6942, 0.0000, 0.0000], [0.0000, 5.0944, 0.0000], [-5.4956, 0.0000, 14.0510]], "species": ["Li", "Li", "Li", "Li", "Li", "Li", "Li", "Li", "Sn", "Sn", "Sn", "Sn", "P", "P", "P", "P", "P", "P", "P", "P", "O", "O", "O", "O", "O", "O", "O", "O", "O", "O", "O", "O", "O", "O", "O", "O", "O", "O", "O", "O", "O", "O", "O", "O", "O", "O", "O", "O"], "frac_coords": [[0.0048, 0.2493, 0.1788], [0.0048, 0.2507, 0.6788], [0.4124, 0.2322, 0.6746], [0.4124, 0.2678, 0.1746], [0.5876, 0.7322, 0.8254], [0.5876, 0.7678, 0.3254], [0.9952, 0.7493, 0.3212], [0.9952, 0.7507, 0.8212], [0.2853, 0.2246, 0.3849], [0.2853, 0.2754, 0.8849], [0.7147, 0.7246, 0.1151], [0.7147, 0.7754, 0.6151], [0.2127, 0.7414, 0.2017], [0.2127, 0.7586, 0.7017], [0.2993, 0.7218, 0.5345], [0.2993, 0.7782, 0.0345], [0.7007, 0.2218, 0.9655], [0.7007, 0.2782, 0.4655], [0.7873, 0.2414, 0.2983], [0.7873, 0.2586, 0.7983], [0.0633, 0.6177, 0.2161], [0.0633, 0.8823, 0.7161], [0.1711, 0.7042, 0.0867], [0.1711, 0.7958, 0.5867], [0.2099, 0.6953, 0.9297], [0.2099, 0.8047, 0.4297], [0.2236, 0.0412, 0.2195], [0.2236, 0.4588, 0.7195], [0.3350, 0.0722, 0.0463], [0.3350, 0.4278, 0.5463], [0.3741, 0.5956, 0.2539], [0.3741, 0.9044, 0.7539], [0.4533, 0.6049, 0.0824], [0.4533, 0.8951, 0.5824], [0.5467, 0.1049, 0.4176], [0.5467, 0.3951, 0.9176], [0.6259, 0.0956, 0.2461], [0.6259, 0.4044, 0.7461], [0.6650, 0.5722, 0.4537], [0.6650, 0.9278, 0.9537], [0.7764, 0.5412, 0.2805], [0.7764, 0.9588, 0.7805], [0.7901, 0.1953, 0.5703], [0.7901, 0.3047, 0.0703], [0.8289, 0.2042, 0.4133], [0.8289, 0.2958, 0.9133], [0.9367, 0.1177, 0.2839], [0.9367, 0.3823, 0.7839]]}